# 1
A relaxed structure of Hf5P7Pd9. Source: the Materials Project, functional r²SCAN.

Cell and atoms, written as POSCAR:
```
Hf5P7Pd9
1.0
3.768 0.000 0.000
0.000 13.251 3.259
0.000 -13.251 3.259
Hf P Pd
5 7 9
direct
0.000 0.000 0.000 Hf
0.000 0.293 0.469 Hf
0.000 0.469 0.293 Hf
0.500 0.539 0.998 Hf
0.500 0.998 0.539 Hf
0.000 0.272 0.841 P
0.000 0.604 0.604 P
0.000 0.841 0.272 P
0.500 0.029 0.164 P
0.500 0.164 0.029 P
0.500 0.431 0.718 P
0.500 0.718 0.431 P
0.000 0.242 0.635 Pd
0.000 0.635 0.242 Pd
0.000 0.676 0.959 Pd
0.000 0.959 0.676 Pd
0.500 0.004 0.317 Pd
0.500 0.317 0.004 Pd
0.500 0.355 0.355 Pd
0.500 0.673 0.790 Pd
0.500 0.790 0.673 Pd
```

Properties
Mass density, g/cm3: 10.55
DFT formation energy, eV/atom: -0.93
Space-group type: Amm2
V, Å³/cell: 325
Magnetic moment, μB per formula unit: 0.00
Electronic total energy, eV/atom: -24.5228

***

# 2
A relaxed structure of TlCuSe2. Source: the Materials Project, functional r²SCAN.

Cell and atoms, written as POSCAR:
```
TlCuSe2
1.0
-2.944 2.944 5.929
2.944 -2.944 5.929
2.944 2.944 -5.929
Tl Cu Se
2 2 4
direct
0.000 0.000 0.000 Tl
0.750 0.250 0.500 Tl
0.250 0.750 0.500 Cu
0.500 0.500 0.000 Cu
0.171 0.125 0.546 Se
0.375 0.829 0.954 Se
0.579 0.625 0.454 Se
0.875 0.421 0.046 Se
```

Properties
Mass density, g/cm3: 6.88
DFT formation energy, eV/atom: -0.30
Space-group type: I-42d
V, Å³/cell: 205
Magnetic moment, μB per formula unit: 0.00
Electronic total energy, eV/atom: -23.4627

***

# 3
A relaxed structure of Cs3Te22. Source: the Materials Project, functional r²SCAN.

Cell and atoms, written as POSCAR:
```
Cs3Te22
1.0
9.698 0.000 0.000
-0.044 9.797 0.000
-4.820 -4.884 10.490
Cs Te
3 22
direct
0.000 0.000 0.000 Cs
0.324 0.320 0.649 Cs
0.676 0.671 0.351 Cs
0.024 0.171 0.772 Te
0.092 0.489 0.384 Te
0.110 0.919 0.623 Te
0.180 0.762 0.776 Te
0.251 0.399 0.229 Te
0.303 0.899 0.376 Te
0.325 0.616 0.002 Te
0.389 0.294 0.001 Te
0.405 0.987 0.225 Te
0.487 0.297 0.378 Te
0.497 0.026 0.999 Te
0.519 0.708 0.622 Te
0.602 0.020 0.763 Te
0.604 0.663 0.000 Te
0.702 0.389 0.999 Te
0.711 0.106 0.616 Te
0.752 0.598 0.763 Te
0.838 0.254 0.237 Te
0.898 0.085 0.379 Te
0.927 0.523 0.625 Te
0.980 0.486 0.999 Te
0.991 0.834 0.238 Te
```

Properties
Mass density, g/cm3: 5.34
DFT formation energy, eV/atom: -0.28
Space-group type: P1
V, Å³/cell: 997
Offset from the most stable computed form, meV/atom: 0
Magnetic moment, μB per formula unit: 0.00
Electronic total energy, eV/atom: -25.6563

***

# 4
A relaxed structure of Lu4MgRh. Source: the Materials Project, functional r²SCAN.

Cell and atoms, written as POSCAR:
```
Lu4MgRh
1.0
0.000 6.693 6.693
6.693 0.000 6.693
6.693 6.693 0.000
Lu Mg Rh
16 4 4
direct
0.185 0.185 0.815 Lu
0.185 0.815 0.185 Lu
0.185 0.815 0.815 Lu
0.404 0.404 0.404 Lu
0.404 0.404 0.787 Lu
0.404 0.787 0.404 Lu
0.562 0.562 0.938 Lu
0.562 0.938 0.562 Lu
0.562 0.938 0.938 Lu
0.787 0.404 0.404 Lu
0.815 0.185 0.185 Lu
0.815 0.185 0.815 Lu
0.815 0.815 0.185 Lu
0.938 0.562 0.562 Lu
0.938 0.562 0.938 Lu
0.938 0.938 0.562 Lu
0.170 0.170 0.170 Mg
0.170 0.170 0.489 Mg
0.170 0.489 0.170 Mg
0.489 0.170 0.170 Mg
0.173 0.609 0.609 Rh
0.609 0.173 0.609 Rh
0.609 0.609 0.173 Rh
0.609 0.609 0.609 Rh
```

Properties
Mass density, g/cm3: 9.16
DFT formation energy, eV/atom: -0.45
Space-group type: F-43m
V, Å³/cell: 600
Magnetic moment, μB per formula unit: 0.31
Electronic total energy, eV/atom: -30.5567

***

# 5
A relaxed structure of SrAl2O4. Source: the Materials Project, functional r²SCAN.

Cell and atoms, written as POSCAR:
```
SrAl2O4
1.0
5.162 0.000 0.000
0.000 8.816 0.000
-0.504 0.000 8.438
Sr Al O
4 8 16
direct
0.201 0.000 0.030 Sr
0.251 0.007 0.491 Sr
0.749 0.507 0.509 Sr
0.799 0.500 0.970 Sr
0.202 0.677 0.319 Al
0.222 0.675 0.707 Al
0.271 0.345 0.200 Al
0.286 0.338 0.810 Al
0.714 0.838 0.190 Al
0.729 0.845 0.800 Al
0.778 0.175 0.293 Al
0.798 0.177 0.681 Al
0.063 0.803 0.826 O
0.094 0.174 0.795 O
0.101 0.491 0.733 O
0.118 0.724 0.512 O
0.346 0.498 0.327 O
0.353 0.393 0.008 O
0.411 0.823 0.270 O
0.437 0.178 0.265 O
0.563 0.678 0.735 O
0.589 0.323 0.730 O
0.647 0.893 0.992 O
0.654 0.998 0.673 O
0.882 0.224 0.488 O
0.899 0.991 0.267 O
0.906 0.674 0.205 O
0.937 0.303 0.174 O
```

Properties
Mass density, g/cm3: 3.56
DFT formation energy, eV/atom: -3.35
Space-group type: P2_1
V, Å³/cell: 384
Magnetic moment, μB per formula unit: 0.00
Electronic total energy, eV/atom: -10.8532

***

# 6
A relaxed structure of Y12Os5C15. Source: the Materials Project, functional r²SCAN.

Cell and atoms, written as POSCAR:
```
Y12Os5C15
1.0
10.719 0.000 0.000
-5.360 9.283 0.000
0.000 0.000 5.072
Y Os C
12 5 15
direct
0.000 0.207 0.000 Y
0.000 0.565 0.000 Y
0.184 0.456 0.500 Y
0.207 0.000 0.000 Y
0.272 0.816 0.500 Y
0.435 0.435 0.000 Y
0.456 0.184 0.500 Y
0.544 0.728 0.500 Y
0.565 0.000 0.000 Y
0.728 0.544 0.500 Y
0.793 0.793 0.000 Y
0.816 0.272 0.500 Y
0.000 0.839 0.500 Os
0.161 0.161 0.500 Os
0.333 0.667 0.000 Os
0.667 0.333 0.000 Os
0.839 0.000 0.500 Os
0.000 0.207 0.500 C
0.000 0.540 0.500 C
0.000 0.665 0.500 C
0.186 0.469 0.000 C
0.207 0.000 0.500 C
0.283 0.814 0.000 C
0.335 0.335 0.500 C
0.460 0.460 0.500 C
0.469 0.186 0.000 C
0.531 0.717 0.000 C
0.540 0.000 0.500 C
0.665 0.000 0.500 C
0.717 0.531 0.000 C
0.793 0.793 0.500 C
0.814 0.283 0.000 C
```

Properties
Mass density, g/cm3: 7.23
DFT formation energy, eV/atom: -0.49
Space-group type: P-62m
V, Å³/cell: 505
Magnetic moment, μB per formula unit: 2.77
Electronic total energy, eV/atom: -21.0482

***

# 7
A relaxed structure of SiO2. Source: the Materials Project, functional r²SCAN.

Cell and atoms, written as POSCAR:
```
SiO2
1.0
6.876 0.000 0.000
0.000 7.012 0.000
0.000 0.000 7.013
Si O
8 16
direct
0.008 0.055 0.496 Si
0.249 0.744 0.305 Si
0.251 0.256 0.805 Si
0.492 0.945 0.996 Si
0.508 0.445 0.504 Si
0.749 0.756 0.695 Si
0.751 0.244 0.195 Si
0.992 0.555 0.004 Si
0.059 0.680 0.186 O
0.075 0.196 0.664 O
0.177 0.430 0.936 O
0.190 0.921 0.440 O
0.310 0.079 0.940 O
0.323 0.570 0.436 O
0.425 0.804 0.164 O
0.441 0.320 0.686 O
0.559 0.820 0.814 O
0.575 0.304 0.336 O
0.677 0.070 0.064 O
0.690 0.579 0.560 O
0.810 0.421 0.060 O
0.823 0.930 0.564 O
0.925 0.696 0.836 O
0.941 0.180 0.314 O
```

Properties
Mass density, g/cm3: 2.36
DFT formation energy, eV/atom: -3.03
Space-group type: P2_12_12_1
V, Å³/cell: 338
Magnetic moment, μB per formula unit: 0.00
Electronic total energy, eV/atom: -9.9355

***

# 8
A relaxed structure of In14Ga3Pt2O8F15. Source: the Materials Project, functional r²SCAN.

Cell and atoms, written as POSCAR:
```
In14Ga3Pt2O8F15
1.0
3.566 2.059 15.245
-3.566 2.059 15.245
0.000 -4.118 15.245
In Ga Pt O F
14 3 2 8 15
direct
0.091 0.584 0.612 In
0.149 0.149 0.149 In
0.193 0.703 0.194 In
0.194 0.193 0.703 In
0.297 0.806 0.807 In
0.388 0.909 0.416 In
0.416 0.388 0.909 In
0.584 0.612 0.091 In
0.612 0.091 0.584 In
0.703 0.194 0.193 In
0.806 0.807 0.297 In
0.807 0.297 0.806 In
0.851 0.851 0.851 In
0.909 0.416 0.388 In
0.300 0.300 0.300 Ga
0.500 0.500 0.500 Ga
0.700 0.700 0.700 Ga
0.397 0.397 0.397 Pt
0.603 0.603 0.603 Pt
0.172 0.172 0.597 O
0.172 0.597 0.172 O
0.259 0.259 0.259 O
0.403 0.828 0.828 O
0.597 0.172 0.172 O
0.741 0.741 0.741 O
0.828 0.403 0.828 O
0.828 0.828 0.403 O
0.000 0.000 0.000 F
0.042 0.070 0.548 F
0.054 0.054 0.054 F
0.070 0.548 0.042 F
0.225 0.571 0.632 F
0.368 0.775 0.429 F
0.429 0.368 0.775 F
0.452 0.958 0.930 F
0.548 0.042 0.070 F
0.571 0.632 0.225 F
0.632 0.225 0.571 F
0.775 0.429 0.368 F
0.930 0.452 0.958 F
0.946 0.946 0.946 F
0.958 0.930 0.452 F
```

Properties
Mass density, g/cm3: 6.48
DFT formation energy, eV/atom: -2.09
Space-group type: R-3
V, Å³/cell: 672
Magnetic moment, μB per formula unit: 0.00
Electronic total energy, eV/atom: -15.1373